An optimized crystal structure of BaNdEuNbO6. Source: the Materials Project, functional PBE.

The total magnetization comes out at 7.0 μB/f.u. As for the density: 6.50 Mg/m³. The crystal system is triclinic. The value obtained for the energy of formation is -3.357 eV per atom. As for the total DFT energy (no corrections): -172.35 eV per cell.

The structure belongs to space group P-1 (No. 2); the cell edges are 6.052, 6.111 and 8.601 Å and the angles 90.50°, 90.37° and 90.29°. The asymmetric unit holds Ba at (0.008, 0.032, 0.250), Nd at (0.000, 0.500, 0.500), Nd at (0.500, 0.000, 0.000), Eu at (0.492, 0.540, 0.252), Nb at (0.000, 0.500, 0.000), Nb at (0.500, 0.000, 0.500), O at (0.091, 0.511, 0.770), O at (0.195, 0.767, 0.042), O at (0.234, 0.802, 0.461), O at (0.273, 0.311, 0.046), O at (0.314, 0.276, 0.456) and O at (0.430, 0.029, 0.731).

An optimized crystal structure of BaNdEuNbO6. Source: the Materials Project, functional PBE.

The total magnetization comes out at 7.0 μB/f.u. As for the density: 6.36 Mg/m³. The crystal system is cubic. The value obtained for the energy of formation is -3.287 eV per atom. As for the total DFT energy (no corrections): -341.93 eV per cell.

The structure belongs to space group F-43m (No. 216); the cell edges are 8.661, 8.661 and 8.661 Å and the angles 90.00°, 90.00° and 90.00°. The asymmetric unit holds Ba at (0.000, 0.000, 0.000), Nd at (0.250, 0.250, 0.250), Eu at (0.000, 0.000, 0.500), Nb at (0.250, 0.250, 0.750) and O at (0.017, 0.250, 0.750).

| no. | energy relative to the lowest polymorph listed for this composition (meV/atom) |
| --- | --- |
| 1 | 0 |
| 2 | 69 |